[1]
# CrMo3, relaxed, DFT PBE
# VASP energy ... -10.100 eV per atom
data_CrMo3
_cell_length_a 2.9293
_cell_length_b 2.9293
_cell_length_c 24.6918
_cell_angle_alpha 90.00
_cell_angle_beta 90.00
_cell_angle_gamma 120.00
_symmetry_space_group_name_H-M 'R 3 m'
_symmetry_Int_Tables_number 160
_symmetry_space_group_name_Hall 'R 3 -2"'
loop_
_atom_site_label
_atom_site_type_symbol
_atom_site_fract_x
_atom_site_fract_y
_atom_site_fract_z
Cr1 Cr 0.0000 0.0000 0.0000
Mo1 Mo 0.0000 0.0000 0.2546
Mo2 Mo 0.0000 0.0000 0.4093
Mo3 Mo 0.0000 0.0000 0.8303

---

[2]
# Cr3Mo, relaxed, DFT PBE
# VASP energy ... -9.845 eV per atom
data_Cr3Mo
_cell_length_a 2.9719
_cell_length_b 4.2057
_cell_length_c 8.1982
_cell_angle_alpha 90.00
_cell_angle_beta 90.00
_cell_angle_gamma 90.00
_symmetry_space_group_name_H-M 'C m m m'
_symmetry_Int_Tables_number 65
_symmetry_space_group_name_Hall '-C 2 2'
loop_
_atom_site_label
_atom_site_type_symbol
_atom_site_fract_x
_atom_site_fract_y
_atom_site_fract_z
Cr1 Cr 0.0000 0.0000 0.0000
Cr2 Cr 0.0000 0.5000 0.2352
Mo1 Mo 0.0000 0.0000 0.5000

---

[3]
# CrMo2N3, relaxed, DFT PBE
# VASP energy ... -9.423 eV per atom
data_CrMo2N3
_cell_length_a 2.8215
_cell_length_b 3.6913
_cell_length_c 11.3374
_cell_angle_alpha 90.00
_cell_angle_beta 90.00
_cell_angle_gamma 90.00
_symmetry_space_group_name_H-M 'I m m m'
_symmetry_Int_Tables_number 71
_symmetry_space_group_name_Hall '-I 2 2'
loop_
_atom_site_label
_atom_site_type_symbol
_atom_site_fract_x
_atom_site_fract_y
_atom_site_fract_z
Cr1 Cr 0.0000 0.0000 0.0000
Mo1 Mo 0.0000 0.0000 0.3531
N1 N 0.0000 0.0000 0.1729
N2 N 0.0000 0.5000 0.0000

---

[4]
# Nb2CrMo2, relaxed, DFT PBE
# VASP energy ... -10.250 eV per atom
data_Nb2CrMo2
_cell_length_a 3.1775
_cell_length_b 4.5249
_cell_length_c 22.3358
_cell_angle_alpha 90.00
_cell_angle_beta 90.00
_cell_angle_gamma 90.00
_symmetry_space_group_name_H-M 'F m m 2'
_symmetry_Int_Tables_number 42
_symmetry_space_group_name_Hall 'F 2 -2'
loop_
_atom_site_label
_atom_site_type_symbol
_atom_site_fract_x
_atom_site_fract_y
_atom_site_fract_z
Nb1 Nb 0.0000 0.0000 0.0000
Nb2 Nb 0.0000 0.0000 0.3892
Cr1 Cr 0.0000 0.0000 0.7938
Mo1 Mo 0.0000 0.0000 0.2039
Mo2 Mo 0.0000 0.0000 0.6043

---

[5]
# Cr8Ni50Mo17, relaxed, DFT PBE
# VASP energy ... -7.397 eV per atom
data_Cr8Ni50Mo17
_cell_length_a 9.2626
_cell_length_b 9.9096
_cell_length_c 11.1969
_cell_angle_alpha 91.41
_cell_angle_beta 114.21
_cell_angle_gamma 105.15
_symmetry_space_group_name_H-M 'P 1'
_symmetry_Int_Tables_number 1
_symmetry_space_group_name_Hall 'P 1'
loop_
_atom_site_label
_atom_site_type_symbol
_atom_site_fract_x
_atom_site_fract_y
_atom_site_fract_z
Cr1 Cr 0.0000 0.0000 0.0000
Cr2 Cr 0.0348 0.4467 0.9291
Cr3 Cr 0.0741 0.8854 0.8484
Cr4 Cr 0.3977 0.4031 0.2042
Cr5 Cr 0.6388 0.0436 0.7248
Cr6 Cr 0.6784 0.4835 0.6444
Cr7 Cr 0.7976 0.8024 0.4049
Cr8 Cr 0.9598 0.5607 0.0789
Ni1 Ni 0.0081 0.4826 0.3069
Ni2 Ni 0.0228 0.9617 0.6182
Ni3 Ni 0.0493 0.9226 0.2273
Ni4 Ni 0.0654 0.4062 0.5378
Ni5 Ni 0.0895 0.3649 0.1466
Ni6 Ni 0.1014 0.8446 0.4565
Ni7 Ni 0.1239 0.8000 0.0665
Ni8 Ni 0.1443 0.2847 0.3761
Ni9 Ni 0.1673 0.2423 0.9934
Ni10 Ni 0.1827 0.7231 0.2936
Ni11 Ni 0.2044 0.6796 0.9107
Ni12 Ni 0.2260 0.1686 0.2144
Ni13 Ni 0.2462 0.1175 0.8315
Ni14 Ni 0.2594 0.6011 0.1340
Ni15 Ni 0.2901 0.5620 0.7518
Ni16 Ni 0.2969 0.0424 0.0535
Ni17 Ni 0.3337 0.0020 0.6713
Ni18 Ni 0.3422 0.4848 0.9810
Ni19 Ni 0.3736 0.4407 0.5910
Ni20 Ni 0.3816 0.9245 0.8972
Ni21 Ni 0.4126 0.8821 0.5136
Ni22 Ni 0.4265 0.3645 0.8192
Ni23 Ni 0.4517 0.3239 0.4304
Ni24 Ni 0.4698 0.8089 0.7379
Ni25 Ni 0.4937 0.7612 0.3519
Ni26 Ni 0.5110 0.2477 0.6580
Ni27 Ni 0.5281 0.2029 0.2713
Ni28 Ni 0.5475 0.6825 0.5781
Ni29 Ni 0.5694 0.6389 0.1947
Ni30 Ni 0.5876 0.1243 0.5016
Ni31 Ni 0.6088 0.0819 0.1098
Ni32 Ni 0.6274 0.5671 0.4184
Ni33 Ni 0.6545 0.5223 0.0315
Ni34 Ni 0.6674 0.0029 0.3389
Ni35 Ni 0.6939 0.9620 0.9492
Ni36 Ni 0.7021 0.4447 0.2579
Ni37 Ni 0.7377 0.4050 0.8722
Ni38 Ni 0.7461 0.8831 0.1802
Ni39 Ni 0.7756 0.8454 0.7939
Ni40 Ni 0.7880 0.3285 0.0957
Ni41 Ni 0.8087 0.2814 0.7146
Ni42 Ni 0.8301 0.7658 0.0178
Ni43 Ni 0.8481 0.7198 0.6317
Ni44 Ni 0.8680 0.2043 0.9352
Ni45 Ni 0.8902 0.1622 0.5528
Ni46 Ni 0.9078 0.6438 0.8579
Ni47 Ni 0.9281 0.6044 0.4710
Ni48 Ni 0.9444 0.0817 0.7811
Ni49 Ni 0.9663 0.0370 0.3915
Ni50 Ni 0.9819 0.5238 0.7010
Mo1 Mo 0.1142 0.3261 0.7708
Mo2 Mo 0.1549 0.7659 0.6893
Mo3 Mo 0.1972 0.2037 0.6066
Mo4 Mo 0.2377 0.6437 0.5240
Mo5 Mo 0.2773 0.0839 0.4435
Mo6 Mo 0.3195 0.5204 0.3593
Mo7 Mo 0.3575 0.9630 0.2841
Mo8 Mo 0.4358 0.8415 0.1235
Mo9 Mo 0.4744 0.2858 0.0478
Mo10 Mo 0.5188 0.7222 0.9639
Mo11 Mo 0.5614 0.1611 0.8803
Mo12 Mo 0.6022 0.6008 0.8002
Mo13 Mo 0.7185 0.9222 0.5648
Mo14 Mo 0.7560 0.3668 0.4903
Mo15 Mo 0.8373 0.2431 0.3234
Mo16 Mo 0.8772 0.6833 0.2438
Mo17 Mo 0.9197 0.1208 0.1588

---

[6]
# Cr7Ni20Mo3, relaxed, DFT PBE
# VASP energy ... -7.224 eV per atom
# ΔE to the lowest computed polymorph ... 0.000 eV per formula unit
data_Cr7Ni20Mo3
_cell_length_a 6.2032
_cell_length_b 6.2033
_cell_length_c 18.9531
_cell_angle_alpha 90.12
_cell_angle_beta 96.30
_cell_angle_gamma 108.52
_symmetry_space_group_name_H-M 'P 1'
_symmetry_Int_Tables_number 1
_symmetry_space_group_name_Hall 'P 1'
loop_
_atom_site_label
_atom_site_type_symbol
_atom_site_fract_x
_atom_site_fract_y
_atom_site_fract_z
Cr1 Cr 0.0000 0.0000 0.0000
Cr2 Cr 0.0434 0.3588 0.8002
Cr3 Cr 0.1464 0.0544 0.3986
Cr4 Cr 0.1968 0.4036 0.1995
Cr5 Cr 0.2467 0.7534 0.9999
Cr6 Cr 0.3466 0.4540 0.5995
Cr7 Cr 0.3922 0.8072 0.3986
Cr8 Cr 0.4459 0.1531 0.1995
Cr9 Cr 0.4932 0.5082 0.9999
Cr10 Cr 0.5511 0.8485 0.8002
Cr11 Cr 0.6965 0.9041 0.1994
Cr12 Cr 0.7967 0.6043 0.8002
Cr13 Cr 0.9007 0.3002 0.3987
Cr14 Cr 0.9476 0.6545 0.1995
Ni1 Ni 0.0001 0.6722 0.3317
Ni2 Ni 0.0018 0.3380 0.6687
Ni3 Ni 0.0460 0.0212 0.1328
Ni4 Ni 0.0496 0.6897 0.4649
Ni5 Ni 0.0964 0.0376 0.2662
Ni6 Ni 0.1008 0.3715 0.9323
Ni7 Ni 0.1444 0.7172 0.7343
Ni8 Ni 0.1509 0.3892 0.0671
Ni9 Ni 0.1950 0.7335 0.8672
Ni10 Ni 0.1967 0.0737 0.5302
Ni11 Ni 0.2425 0.4184 0.3320
Ni12 Ni 0.2481 0.0910 0.6670
Ni13 Ni 0.2932 0.4354 0.4665
Ni14 Ni 0.2971 0.7701 0.1328
Ni15 Ni 0.3430 0.1186 0.9339
Ni16 Ni 0.3474 0.7865 0.2662
Ni17 Ni 0.3932 0.1355 0.0673
Ni18 Ni 0.3987 0.4742 0.7327
Ni19 Ni 0.4451 0.8160 0.5304
Ni20 Ni 0.4495 0.4907 0.8669
Ni21 Ni 0.4946 0.1663 0.3317
Ni22 Ni 0.4961 0.8346 0.6686
Ni23 Ni 0.5450 0.1824 0.4649
Ni24 Ni 0.5470 0.5199 0.1325
Ni25 Ni 0.5939 0.8674 0.9323
Ni26 Ni 0.5959 0.5371 0.2646
Ni27 Ni 0.6450 0.8837 0.0670
Ni28 Ni 0.6518 0.2221 0.7340
Ni29 Ni 0.6926 0.5694 0.5321
Ni30 Ni 0.7008 0.2392 0.8657
Ni31 Ni 0.7443 0.5865 0.6690
Ni32 Ni 0.7483 0.9241 0.3317
Ni33 Ni 0.7973 0.2706 0.1343
Ni34 Ni 0.7982 0.9409 0.4648
Ni35 Ni 0.8463 0.2878 0.2665
Ni36 Ni 0.8484 0.6242 0.9322
Ni37 Ni 0.8931 0.9687 0.7345
Ni38 Ni 0.8988 0.6412 0.0670
Ni39 Ni 0.9426 0.9860 0.8673
Ni40 Ni 0.9488 0.3217 0.5305
Mo1 Mo 0.1028 0.6978 0.5995
Mo2 Mo 0.2966 0.1042 0.8004
Mo3 Mo 0.5912 0.2092 0.5995
Mo4 Mo 0.6458 0.5535 0.3985
Mo5 Mo 0.7477 0.2539 0.0000
Mo6 Mo 0.8464 0.9541 0.5995

---

[7]
# Cr7Ni20Mo3, relaxed, DFT PBE
# VASP energy ... -7.217 eV per atom
# ΔE to the lowest computed polymorph ... 0.208 eV per formula unit
data_Cr7Ni20Mo3
_cell_length_a 6.2327
_cell_length_b 11.6431
_cell_length_c 15.2745
_cell_angle_alpha 70.30
_cell_angle_beta 89.50
_cell_angle_gamma 89.58
_symmetry_space_group_name_H-M 'P 1'
_symmetry_Int_Tables_number 1
_symmetry_space_group_name_Hall 'P 1'
loop_
_atom_site_label
_atom_site_type_symbol
_atom_site_fract_x
_atom_site_fract_y
_atom_site_fract_z
Cr1 Cr 0.0000 0.0000 0.0000
Cr2 Cr 0.0003 0.1976 0.7027
Cr3 Cr 0.9999 0.7992 0.8014
Cr4 Cr 0.0062 0.1964 0.1981
Cr5 Cr 0.3320 0.5323 0.5352
Cr6 Cr 0.3329 0.9331 0.9328
Cr7 Cr 0.3343 0.7325 0.7347
Cr8 Cr 0.3348 0.1322 0.1340
Cr9 Cr 0.3360 0.3303 0.3342
Cr10 Cr 0.3365 0.1298 0.6346
Cr11 Cr 0.3389 0.9310 0.4334
Cr12 Cr 0.3412 0.5307 0.0314
Cr13 Cr 0.6592 0.0655 0.5708
Cr14 Cr 0.6605 0.6676 0.6700
Cr15 Cr 0.6654 0.8665 0.8666
Cr16 Cr 0.6657 0.8667 0.3677
Cr17 Cr 0.6677 0.4652 0.9663
Cr18 Cr 0.6693 0.0660 0.0667
Cr19 Cr 0.6733 0.2628 0.7672
Cr20 Cr 0.9925 0.8024 0.3018
Cr21 Cr 0.9970 0.3990 0.9020
Ni1 Ni 0.9996 0.0002 0.8338
Ni2 Ni 0.0003 0.1968 0.5378
Ni3 Ni 0.0003 0.7988 0.6368
Ni4 Ni 0.9995 0.8048 0.1318
Ni5 Ni 0.0009 0.9990 0.6704
Ni6 Ni 0.0023 0.3969 0.2324
Ni7 Ni 0.0023 0.5976 0.7696
Ni8 Ni 0.0035 0.1984 0.0332
Ni9 Ni 0.0028 0.3956 0.5708
Ni10 Ni 0.0040 0.1965 0.3664
Ni11 Ni 0.0042 0.6022 0.4328
Ni12 Ni 0.0036 0.9989 0.1671
Ni13 Ni 0.3303 0.1301 0.3016
Ni14 Ni 0.3302 0.3318 0.1660
Ni15 Ni 0.3319 0.7320 0.9002
Ni16 Ni 0.3326 0.1300 0.7996
Ni17 Ni 0.3330 0.3311 0.6662
Ni18 Ni 0.3342 0.5271 0.2021
Ni19 Ni 0.3340 0.7330 0.4033
Ni20 Ni 0.3337 0.7354 0.0634
Ni21 Ni 0.3338 0.7352 0.5676
Ni22 Ni 0.3336 0.9322 0.7668
Ni23 Ni 0.3337 0.9349 0.2685
Ni24 Ni 0.3350 0.1308 0.9681
Ni25 Ni 0.3353 0.3280 0.5031
Ni26 Ni 0.3347 0.3318 0.0023
Ni27 Ni 0.3347 0.5342 0.8678
Ni28 Ni 0.3361 0.1326 0.4676
Ni29 Ni 0.3357 0.5320 0.3680
Ni30 Ni 0.3362 0.5338 0.7009
Ni31 Ni 0.3364 0.9345 0.0995
Ni32 Ni 0.3365 0.9319 0.6022
Ni33 Ni 0.6624 0.4636 0.6380
Ni34 Ni 0.6631 0.0622 0.4018
Ni35 Ni 0.6630 0.6693 0.5016
Ni36 Ni 0.6643 0.4639 0.1309
Ni37 Ni 0.6638 0.6670 0.9964
Ni38 Ni 0.6643 0.8645 0.5356
Ni39 Ni 0.6649 0.4651 0.3007
Ni40 Ni 0.6656 0.0671 0.8995
Ni41 Ni 0.6675 0.0636 0.2338
Ni42 Ni 0.6667 0.0646 0.7349
Ni43 Ni 0.6667 0.2602 0.4373
Ni44 Ni 0.6674 0.6655 0.8337
Ni45 Ni 0.6668 0.8687 0.0318
Ni46 Ni 0.6680 0.2620 0.6041
Ni47 Ni 0.6681 0.2647 0.0983
Ni48 Ni 0.6678 0.8667 0.7007
Ni49 Ni 0.6700 0.8702 0.2006
Ni50 Ni 0.6713 0.2647 0.9348
Ni51 Ni 0.6710 0.4672 0.8015
Ni52 Ni 0.6705 0.6692 0.3360
Ni53 Ni 0.9972 0.3963 0.7357
Ni54 Ni 0.9980 0.1966 0.8683
Ni55 Ni 0.9981 0.9988 0.3320
Ni56 Ni 0.9992 0.3957 0.0658
Ni57 Ni 0.9988 0.5993 0.2684
Ni58 Ni 0.9995 0.5987 0.9320
Ni59 Ni 0.9991 0.8004 0.4655
Ni60 Ni 0.9985 0.8014 0.9654
Mo1 Mo 0.0007 0.9981 0.5017
Mo2 Mo 0.0081 0.3955 0.4001
Mo3 Mo 0.0084 0.5979 0.0977
Mo4 Mo 0.3249 0.7354 0.2355
Mo5 Mo 0.3357 0.3314 0.8342
Mo6 Mo 0.6620 0.4665 0.4708
Mo7 Mo 0.6653 0.2642 0.2672
Mo8 Mo 0.6662 0.6670 0.1661
Mo9 Mo 0.9990 0.5990 0.6016

---

[8]
# Cr8Ni50Mo15W2, relaxed, DFT PBE
# VASP energy ... -7.454 eV per atom
data_Cr8Ni50Mo15W2
_cell_length_a 6.3006
_cell_length_b 11.6408
_cell_length_c 13.3534
_cell_angle_alpha 108.30
_cell_angle_beta 98.50
_cell_angle_gamma 100.45
_symmetry_space_group_name_H-M 'P 1'
_symmetry_Int_Tables_number 1
_symmetry_space_group_name_Hall 'P 1'
loop_
_atom_site_label
_atom_site_type_symbol
_atom_site_fract_x
_atom_site_fract_y
_atom_site_fract_z
Cr1 Cr 0.0000 0.0000 0.0000
Cr2 Cr 0.0403 0.2792 0.8398
Cr3 Cr 0.1227 0.8392 0.5188
Cr4 Cr 0.3967 0.8003 0.4018
Cr5 Cr 0.4808 0.3593 0.0796
Cr6 Cr 0.5600 0.9198 0.7600
Cr7 Cr 0.8792 0.1597 0.4805
Cr8 Cr 0.9195 0.4399 0.3206
Ni1 Ni 0.9997 0.3327 0.6667
Ni2 Ni 0.0025 0.6653 0.3353
Ni3 Ni 0.0391 0.9454 0.1723
Ni4 Ni 0.0401 0.6151 0.5055
Ni5 Ni 0.0810 0.2246 0.0126
Ni6 Ni 0.0835 0.8931 0.3487
Ni7 Ni 0.1184 0.5024 0.8530
Ni8 Ni 0.1197 0.1733 0.1854
Ni9 Ni 0.1616 0.4520 0.0261
Ni10 Ni 0.1619 0.7865 0.6923
Ni11 Ni 0.1961 0.0637 0.5331
Ni12 Ni 0.2004 0.7346 0.8667
Ni13 Ni 0.2374 0.3457 0.3725
Ni14 Ni 0.2421 0.0123 0.7059
Ni15 Ni 0.2773 0.2932 0.5466
Ni16 Ni 0.2797 0.6259 0.2149
Ni17 Ni 0.3173 0.9060 0.0529
Ni18 Ni 0.3187 0.5755 0.3863
Ni19 Ni 0.3578 0.1868 0.8944
Ni20 Ni 0.3603 0.8541 0.2285
Ni21 Ni 0.3984 0.1354 0.0663
Ni22 Ni 0.3996 0.4648 0.7335
Ni23 Ni 0.4373 0.7475 0.5729
Ni24 Ni 0.4379 0.4129 0.9078
Ni25 Ni 0.4813 0.6968 0.7468
Ni26 Ni 0.4817 0.0237 0.4140
Ni27 Ni 0.5164 0.9716 0.5862
Ni28 Ni 0.5217 0.3065 0.2523
Ni29 Ni 0.5588 0.5828 0.0935
Ni30 Ni 0.5625 0.2537 0.4271
Ni31 Ni 0.6019 0.5323 0.2657
Ni32 Ni 0.6018 0.8664 0.9324
Ni33 Ni 0.6404 0.8146 0.1072
Ni34 Ni 0.6414 0.1439 0.7736
Ni35 Ni 0.6789 0.4247 0.6131
Ni36 Ni 0.6818 0.0926 0.9459
Ni37 Ni 0.7197 0.7068 0.4536
Ni38 Ni 0.7225 0.3732 0.7873
Ni39 Ni 0.7605 0.6547 0.6268
Ni40 Ni 0.7608 0.9865 0.2948
Ni41 Ni 0.7980 0.2670 0.1344
Ni42 Ni 0.8007 0.9349 0.4674
Ni43 Ni 0.8391 0.5447 0.9736
Ni44 Ni 0.8414 0.2161 0.3083
Ni45 Ni 0.8783 0.4929 0.1479
Ni46 Ni 0.8783 0.8274 0.8143
Ni47 Ni 0.9197 0.1065 0.6536
Ni48 Ni 0.9211 0.7767 0.9871
Ni49 Ni 0.9584 0.3832 0.4920
Ni50 Ni 0.9589 0.0550 0.8276
Mo1 Mo 0.0801 0.5595 0.6798
Mo2 Mo 0.1556 0.1201 0.3622
Mo3 Mo 0.2407 0.6794 0.0396
Mo4 Mo 0.2800 0.9600 0.8799
Mo5 Mo 0.3147 0.2400 0.7225
Mo6 Mo 0.3599 0.5201 0.5598
Mo7 Mo 0.4399 0.0800 0.2403
Mo8 Mo 0.5199 0.6397 0.9201
Mo9 Mo 0.6043 0.1982 0.5979
Mo10 Mo 0.6454 0.4790 0.4375
Mo11 Mo 0.6740 0.7607 0.2834
Mo12 Mo 0.7247 0.0394 0.1179
Mo13 Mo 0.7591 0.3193 0.9605
Mo14 Mo 0.8000 0.5999 0.8001
Mo15 Mo 0.8400 0.8802 0.6402
W1 W 0.2000 0.3995 0.1999
W2 W 0.9592 0.7197 0.1607

---

[9]
# CrMo2S4, relaxed, DFT PBE
# VASP energy ... -7.514 eV per atom
data_CrMo2S4
_cell_length_a 12.0057
_cell_length_b 6.5945
_cell_length_c 12.9936
_cell_angle_alpha 90.00
_cell_angle_beta 114.34
_cell_angle_gamma 90.00
_symmetry_space_group_name_H-M 'C 1 2/c 1'
_symmetry_Int_Tables_number 15
_symmetry_space_group_name_Hall '-C 2yc'
loop_
_atom_site_label
_atom_site_type_symbol
_atom_site_fract_x
_atom_site_fract_y
_atom_site_fract_z
Cr1 Cr 0.2408 0.1237 0.2480
Mo1 Mo 0.0897 0.1468 0.9921
Mo2 Mo 0.0984 0.3976 0.4939
S1 S 0.0158 0.1315 0.1354
S2 S 0.0360 0.3787 0.6474
S3 S 0.2363 0.1337 0.8872
S4 S 0.2483 0.3780 0.3948

---

[10]
# CrMo6Se8, relaxed, DFT PBE
# VASP energy ... -7.178 eV per atom
data_CrMo6Se8
_cell_length_a 9.6712
_cell_length_b 9.6712
_cell_length_c 11.3319
_cell_angle_alpha 90.00
_cell_angle_beta 90.00
_cell_angle_gamma 120.00
_symmetry_space_group_name_H-M 'R -3'
_symmetry_Int_Tables_number 148
_symmetry_space_group_name_Hall '-R 3'
loop_
_atom_site_label
_atom_site_type_symbol
_atom_site_fract_x
_atom_site_fract_y
_atom_site_fract_z
Cr1 Cr 0.0000 0.0000 0.0000
Mo1 Mo 0.0202 0.8493 0.3997
Se1 Se 0.0000 0.0000 0.2219
Se2 Se 0.0004 0.3814 0.7468

---

Computed values of formation energy from the elements (unit: kJ per mole of atoms) for the preceding records, in sequence: 43.2; 10.2; -20.4; 5.8; -5.4; -3.2; -2.6; -5.4; -92.6; -56.3.